1.
A geometry-optimized V3O10 structure. Source: the Materials Project database, functional PBE with a Hubbard U.

The structure in CIF format:
```
data_V3O10
_chemical_formula_sum 'V6 O20'
_cell_length_a 8.967
_cell_length_b 8.967
_cell_length_c 5.410
_cell_angle_alpha 90.00
_cell_angle_beta 90.00
_cell_angle_gamma 90.00
_symmetry_space_group_name_H-M 'P 1'
_symmetry_Int_Tables_number 1
loop_
_symmetry_equiv_pos_as_xyz
'x,y,z'
loop_
_atom_site_label
_atom_site_type_symbol
_atom_site_fract_x
_atom_site_fract_y
_atom_site_fract_z
_atom_site_occupancy
O1 O 0.330 0.830 0.786 1
O2 O 0.686 0.415 0.156 1
O3 O 0.085 0.814 0.156 1
O4 O 0.314 0.585 0.156 1
O5 O 0.670 0.170 0.786 1
O6 O 0.915 0.186 0.156 1
O7 O 0.500 0.500 0.544 1
O8 O 0.585 0.686 0.156 1
O9 O 0.868 0.368 0.566 1
O10 O 0.500 0.000 0.149 1
O11 O 0.830 0.670 0.786 1
O12 O 0.186 0.085 0.156 1
O13 O 0.415 0.314 0.156 1
O14 O 0.368 0.132 0.566 1
O15 O 0.132 0.632 0.566 1
O16 O 0.814 0.915 0.156 1
O17 O 0.170 0.330 0.786 1
O18 O 0.632 0.868 0.566 1
O19 O 0.000 0.500 0.149 1
O20 O 0.000 0.000 0.544 1
V1 V 0.366 0.134 0.261 1
V2 V 0.634 0.866 0.261 1
V3 V 0.000 0.000 0.245 1
V4 V 0.500 0.500 0.245 1
V5 V 0.134 0.634 0.261 1
V6 V 0.866 0.366 0.261 1
```

**Density**: 2.39 g/cm3
**DFT formation energy**: -1.433 eV/atom
**Space-group type**: P4bm, No. 100

2.
A geometry-optimized La16Mn15O48 structure. Source: the Materials Project database, functional PBE with a Hubbard U.

The structure in CIF format:
```
data_La16Mn15O48
_chemical_formula_sum 'La16 Mn15 O48'
_cell_length_a 5.536
_cell_length_b 12.421
_cell_length_c 14.825
_cell_angle_alpha 85.55
_cell_angle_beta 79.60
_cell_angle_gamma 78.32
_symmetry_space_group_name_H-M 'P 1'
_symmetry_Int_Tables_number 1
loop_
_symmetry_equiv_pos_as_xyz
'x,y,z'
loop_
_atom_site_label
_atom_site_type_symbol
_atom_site_fract_x
_atom_site_fract_y
_atom_site_fract_z
_atom_site_occupancy
La1 La 0.343 0.595 0.719 1
La2 La 0.598 0.857 0.970 1
La3 La 0.220 0.468 0.093 1
La4 La 0.780 0.532 0.907 1
La5 La 0.281 0.031 0.405 1
La6 La 0.471 0.718 0.342 1
La7 La 0.719 0.969 0.595 1
La8 La 0.153 0.911 0.794 1
La9 La 0.907 0.656 0.531 1
La10 La 0.657 0.405 0.281 1
La11 La 0.036 0.792 0.146 1
La12 La 0.529 0.282 0.658 1
La13 La 0.964 0.208 0.854 1
La14 La 0.402 0.143 0.030 1
La15 La 0.847 0.089 0.206 1
La16 La 0.093 0.344 0.469 1
O1 O 0.814 0.023 0.884 1
O2 O 0.099 0.827 0.987 1
O3 O 0.299 0.621 0.210 1
O4 O 0.901 0.173 0.013 1
O5 O 0.928 0.246 0.337 1
O6 O 0.665 0.915 0.755 1
O7 O 0.955 0.139 0.514 1
O8 O 0.958 0.711 0.370 1
O9 O 0.793 0.119 0.708 1
O10 O 0.585 0.336 0.495 1
O11 O 0.790 0.608 0.236 1
O12 O 0.462 0.210 0.867 1
O13 O 0.664 0.990 0.094 1
O14 O 0.084 0.263 0.139 1
O15 O 0.714 0.457 0.120 1
O16 O 0.177 0.494 0.585 1
O17 O 0.708 0.890 0.262 1
O18 O 0.336 0.010 0.906 1
O19 O 0.916 0.737 0.861 1
O20 O 0.042 0.289 0.630 1
O21 O 0.583 0.764 0.639 1
O22 O 0.166 0.414 0.256 1
O23 O 0.823 0.506 0.415 1
O24 O 0.545 0.365 0.984 1
O25 O 0.428 0.742 0.835 1
O26 O 0.668 0.486 0.611 1
O27 O 0.415 0.664 0.505 1
O28 O 0.292 0.110 0.738 1
O29 O 0.335 0.085 0.245 1
O30 O 0.286 0.543 0.880 1
O31 O 0.551 0.869 0.461 1
O32 O 0.572 0.258 0.165 1
O33 O 0.045 0.861 0.486 1
O34 O 0.834 0.586 0.744 1
O35 O 0.449 0.131 0.539 1
O36 O 0.209 0.960 0.622 1
O37 O 0.207 0.881 0.292 1
O38 O 0.186 0.977 0.116 1
O39 O 0.538 0.790 0.133 1
O40 O 0.332 0.514 0.389 1
O41 O 0.417 0.236 0.361 1
O42 O 0.210 0.392 0.764 1
O43 O 0.052 0.371 0.961 1
O44 O 0.701 0.379 0.790 1
O45 O 0.455 0.635 0.016 1
O46 O 0.791 0.040 0.378 1
O47 O 0.948 0.629 0.039 1
O48 O 0.072 0.754 0.663 1
Mn1 Mn 0.500 0.500 0.500 1
Mn2 Mn 0.750 0.750 0.750 1
Mn3 Mn 0.624 0.625 0.125 1
Mn4 Mn 0.563 0.063 0.811 1
Mn5 Mn 0.689 0.187 0.436 1
Mn6 Mn 0.311 0.813 0.564 1
Mn7 Mn 0.376 0.375 0.875 1
Mn8 Mn 0.188 0.687 0.937 1
Mn9 Mn 0.062 0.564 0.311 1
Mn10 Mn 0.812 0.313 0.063 1
Mn11 Mn 0.126 0.124 0.625 1
Mn12 Mn 0.250 0.250 0.250 1
Mn13 Mn 0.874 0.876 0.375 1
Mn14 Mn 0.938 0.436 0.689 1
Mn15 Mn 0.437 0.937 0.189 1
```

**Density**: 6.46 g/cm3
**DFT formation energy**: -2.990 eV/atom
**Space-group type**: P-1, No. 2
**Polymorph energy (0 for the lowest one)**: 4 meV/atom

3.
A geometry-optimized LiVSiO4 structure. Source: the Materials Project database, functional PBE with a Hubbard U.

The structure in CIF format:
```
data_LiVSiO4
_chemical_formula_sum 'Li6 V6 Si6 O24'
_cell_length_a 8.676
_cell_length_b 8.676
_cell_length_c 8.676
_cell_angle_alpha 107.42
_cell_angle_beta 107.42
_cell_angle_gamma 107.42
_symmetry_space_group_name_H-M 'P 1'
_symmetry_Int_Tables_number 1
loop_
_symmetry_equiv_pos_as_xyz
'x,y,z'
loop_
_atom_site_label
_atom_site_type_symbol
_atom_site_fract_x
_atom_site_fract_y
_atom_site_fract_z
_atom_site_occupancy
O1 O 0.656 0.599 0.922 1
O2 O 0.048 0.706 0.019 1
O3 O 0.882 0.558 0.258 1
O4 O 0.922 0.656 0.599 1
O5 O 0.401 0.078 0.344 1
O6 O 0.599 0.922 0.656 1
O7 O 0.019 0.048 0.706 1
O8 O 0.981 0.952 0.294 1
O9 O 0.118 0.442 0.742 1
O10 O 0.258 0.882 0.558 1
O11 O 0.706 0.019 0.048 1
O12 O 0.648 0.348 0.335 1
O13 O 0.335 0.648 0.348 1
O14 O 0.558 0.258 0.882 1
O15 O 0.344 0.401 0.078 1
O16 O 0.348 0.335 0.648 1
O17 O 0.352 0.652 0.665 1
O18 O 0.442 0.742 0.118 1
O19 O 0.652 0.665 0.352 1
O20 O 0.665 0.352 0.652 1
O21 O 0.742 0.118 0.442 1
O22 O 0.294 0.981 0.952 1
O23 O 0.078 0.344 0.401 1
O24 O 0.952 0.294 0.981 1
Li1 Li 0.940 0.542 0.766 1
Li2 Li 0.060 0.458 0.234 1
Li3 Li 0.458 0.234 0.060 1
Li4 Li 0.234 0.060 0.458 1
Li5 Li 0.766 0.940 0.542 1
Li6 Li 0.542 0.766 0.940 1
V1 V 0.107 0.288 0.869 1
V2 V 0.712 0.131 0.893 1
V3 V 0.893 0.712 0.131 1
V4 V 0.288 0.869 0.107 1
V5 V 0.131 0.893 0.712 1
V6 V 0.869 0.107 0.288 1
Si1 Si 0.390 0.783 0.558 1
Si2 Si 0.558 0.390 0.783 1
Si3 Si 0.217 0.442 0.610 1
Si4 Si 0.442 0.610 0.217 1
Si5 Si 0.610 0.217 0.442 1
Si6 Si 0.783 0.558 0.390 1
```

**Density**: 2.78 g/cm3
**DFT formation energy**: -2.757 eV/atom
**Space-group type**: R-3, No. 148
**Polymorph energy (0 for the lowest one)**: 82 meV/atom

4.
A geometry-optimized Mn3BO5 structure. Source: the Materials Project database, functional PBE with a Hubbard U.

The structure in CIF format:
```
data_Mn3BO5
_chemical_formula_sum 'Mn12 B4 O20'
_cell_length_a 3.175
_cell_length_b 9.575
_cell_length_c 12.859
_cell_angle_alpha 90.00
_cell_angle_beta 90.00
_cell_angle_gamma 90.00
_symmetry_space_group_name_H-M 'P 1'
_symmetry_Int_Tables_number 1
loop_
_symmetry_equiv_pos_as_xyz
'x,y,z'
loop_
_atom_site_label
_atom_site_type_symbol
_atom_site_fract_x
_atom_site_fract_y
_atom_site_fract_z
_atom_site_occupancy
Mn1 Mn 0.000 0.741 0.383 1
Mn2 Mn 0.000 0.500 0.000 1
Mn3 Mn 0.000 0.759 0.883 1
Mn4 Mn 0.500 0.494 0.778 1
Mn5 Mn 0.500 0.006 0.278 1
Mn6 Mn 0.000 0.241 0.117 1
Mn7 Mn 0.500 0.000 0.000 1
Mn8 Mn 0.500 0.500 0.500 1
Mn9 Mn 0.500 0.994 0.722 1
Mn10 Mn 0.500 0.506 0.222 1
Mn11 Mn 0.000 0.259 0.617 1
Mn12 Mn 0.000 0.000 0.500 1
O1 O 0.000 0.146 0.767 1
O2 O 0.000 0.646 0.733 1
O3 O 0.500 0.104 0.138 1
O4 O 0.500 0.896 0.862 1
O5 O 0.000 0.134 0.356 1
O6 O 0.000 0.851 0.046 1
O7 O 0.500 0.111 0.581 1
O8 O 0.500 0.396 0.638 1
O9 O 0.000 0.354 0.267 1
O10 O 0.500 0.889 0.419 1
O11 O 0.500 0.604 0.362 1
O12 O 0.000 0.634 0.144 1
O13 O 0.000 0.866 0.644 1
O14 O 0.500 0.389 0.081 1
O15 O 0.000 0.149 0.954 1
O16 O 0.000 0.649 0.546 1
O17 O 0.000 0.351 0.454 1
O18 O 0.000 0.366 0.856 1
O19 O 0.500 0.611 0.919 1
O20 O 0.000 0.854 0.233 1
B1 B 0.000 0.720 0.640 1
B2 B 0.000 0.220 0.860 1
B3 B 0.000 0.780 0.140 1
B4 B 0.000 0.280 0.360 1
```

**Density**: 4.34 g/cm3
**DFT formation energy**: -2.275 eV/atom
**Space-group type**: Pbam, No. 55

Question: Among the records above, which one has the highest density?
Answer: La16Mn15O48